No. 1
A plane-wave DFT calculation with PBE with a Hubbard U was carried out for a geometry-optimized LiFe4B4O12 structure.

Formation energy   -2.228 eV/atom
Space-group type   No. 1
ρ   3.201 g/cm3
Energy relative to the lowest polymorph listed for this composition   6 meV/atom
Crystal system   triclinic

Cell: 5.2334 9.1570 10.0800 Å, 89.90 89.41 89.06°
Last column: nearest neighbours and their distance in Å.
Positions (direct):
Li1 0.0000 0.0000 0.0000  4 O 2.03-2.17
Li2 0.3226 0.3542 0.7547  3 O 1.93-2.07
Fe1 0.3368 0.6762 0.2287  5 O 1.86-2.06
Fe2 0.3404 0.0103 0.7309  5 O 1.89-2.07
Fe3 0.4877 0.1842 0.9848  3 O 1.92-2.14
Fe4 0.4998 0.8369 0.4789  4 O 1.86-2.07
Fe5 0.8135 0.5241 0.7296  4 O 1.95-2.15
Fe6 0.8353 0.1788 0.2326  5 O 1.91-2.09
Fe7 0.9860 0.6644 0.9785  5 O 1.95-2.06
Fe8 0.9993 0.3425 0.4820  5 O 1.88-2.10
B1 0.0045 0.6755 0.4750  3 O 1.36-1.41
B2 0.3132 0.6756 0.7298  3 O 1.34-1.42
B3 0.3332 0.0072 0.2290  3 O 1.37-1.40
B4 0.4926 0.8442 0.9819  3 O 1.36-1.41
B5 0.5060 0.1741 0.4830  3 O 1.35-1.41
B6 0.8358 0.5055 0.2300  3 O 1.35-1.41
B7 0.8380 0.1810 0.7298  3 O 1.37-1.41
B8 0.9893 0.3427 0.9752  3 O 1.35-1.42
O1 0.0701 0.6826 0.7882  1 B 1.40
O2 0.0749 0.0211 0.2099  1 B 1.37
O3 0.2414 0.3359 0.9458  1 B 1.35
O4 0.2589 0.6819 0.4294  1 B 1.41
O5 0.3340 0.7356 0.0321  1 B 1.40
O6 0.3494 0.2926 0.4847  1 B 1.35
O7 0.3695 0.9700 0.9312  1 B 1.41
O8 0.4117 0.8070 0.6775  1 B 1.42
O9 0.4181 0.0391 0.5310  1 B 1.41
O10 0.4440 0.5486 0.7223  1 B 1.34
O11 0.4449 0.8783 0.2768  1 B 1.40
O12 0.4911 0.1211 0.1916  1 B 1.39
O13 0.5752 0.1783 0.7605  1 B 1.41
O14 0.5798 0.5258 0.2329  1 B 1.35
O15 0.7527 0.8324 0.9845  1 B 1.36
O16 0.7598 0.1812 0.4367  1 B 1.41
O17 0.8484 0.7955 0.4726  1 B 1.36
O18 0.8493 0.4696 0.9445  1 B 1.40
O19 0.8632 0.2208 0.0307  1 B 1.42
O20 0.9196 0.5436 0.5240  1 B 1.38
O21 0.9429 0.3108 0.6823  1 B 1.40
O22 0.9518 0.3765 0.2775  1 B 1.41
O23 0.9911 0.0616 0.7527  1 B 1.37
O24 0.9955 0.6135 0.1780  1 B 1.40

No. 2
A plane-wave DFT calculation with PBE with a Hubbard U was carried out for a geometry-optimized EuFeGe2O7 structure.

Formation energy   -2.271 eV/atom
Space-group type   No. 14
ρ   5.364 g/cm3
Crystal system   monoclinic

Cell: 7.4080 6.6741 13.1328 Å, 90.00 117.52 90.00°
Last column: nearest neighbours and their distance in Å.
Positions (direct):
Eu1 0.2463 0.1449 0.4753  6 O 2.34-2.56
Eu2 0.2463 0.3551 0.9753  6 O 2.34-2.56
Eu3 0.7537 0.6449 0.0247  6 O 2.34-2.56
Eu4 0.7537 0.8551 0.5247  6 O 2.34-2.56
Fe1 0.2116 0.1006 0.7302  5 O 1.92-2.03
Fe2 0.2116 0.3994 0.2302  5 O 1.92-2.03
Fe3 0.7884 0.6006 0.7698  5 O 1.92-2.03
Fe4 0.7884 0.8994 0.2698  5 O 1.92-2.03
Ge1 0.2140 0.6577 0.4568  4 O 1.74-1.80
Ge2 0.2140 0.8423 0.9568  4 O 1.74-1.80
Ge3 0.2997 0.5896 0.7190  4 O 1.77-1.82
Ge4 0.2997 0.9104 0.2190  4 O 1.77-1.82
Ge5 0.7003 0.0896 0.7810  4 O 1.77-1.82
Ge6 0.7003 0.4104 0.2810  4 O 1.77-1.82
Ge7 0.7860 0.1577 0.0432  4 O 1.74-1.80
Ge8 0.7860 0.3423 0.5432  4 O 1.74-1.80
O1 0.0139 0.6625 0.9218  1 Ge 1.79, 1 Fe 1.97
O2 0.0139 0.8375 0.4218  1 Ge 1.79, 1 Fe 1.97
O3 0.1556 0.6870 0.1869  1 Ge 1.77
O4 0.1556 0.8130 0.6869  1 Ge 1.77
O5 0.2033 0.0509 0.8723  1 Ge 1.76, 1 Fe 1.92
O6 0.2033 0.4491 0.3723  1 Ge 1.76, 1 Fe 1.92
O7 0.2227 0.1098 0.2791  1 Ge 1.77
O8 0.2227 0.3902 0.7791  1 Ge 1.77
O9 0.2527 0.5032 0.5773  2 Ge 1.80-1.82
O10 0.2527 0.9968 0.0773  2 Ge 1.80-1.82
O11 0.4090 0.6751 0.9785  1 Ge 1.74
O12 0.4090 0.8249 0.4785  1 Ge 1.74
O13 0.4347 0.1262 0.6946  1 Ge 1.78, 1 Fe 1.92
O14 0.4347 0.3738 0.1946  1 Ge 1.78, 1 Fe 1.92
O15 0.5653 0.6262 0.8054  1 Ge 1.78, 1 Fe 1.92
O16 0.5653 0.8738 0.3054  1 Ge 1.78, 1 Fe 1.92
O17 0.5910 0.1751 0.5215  1 Ge 1.74
O18 0.5910 0.3249 0.0215  1 Ge 1.74
O19 0.7473 0.0032 0.9227  2 Ge 1.80-1.82
O20 0.7473 0.4968 0.4227  2 Ge 1.80-1.82
O21 0.7773 0.6098 0.2209  1 Ge 1.77
O22 0.7773 0.8902 0.7209  1 Ge 1.77
O23 0.7967 0.5509 0.6277  1 Ge 1.76, 1 Fe 1.92
O24 0.7967 0.9491 0.1277  1 Ge 1.76, 1 Fe 1.92
O25 0.8444 0.1870 0.3131  1 Ge 1.77
O26 0.8444 0.3130 0.8131  1 Ge 1.77
O27 0.9861 0.1625 0.5782  1 Ge 1.79, 1 Fe 1.97
O28 0.9861 0.3375 0.0782  1 Ge 1.79, 1 Fe 1.97

No. 3
A plane-wave DFT calculation with PBE with a Hubbard U was carried out for a geometry-optimized Rb2TiV3P3O18 structure.

Formation energy   -2.689 eV/atom
Space-group type   No. 184
ρ   3.150 g/cm3
Crystal system   hexagonal

Cell: 13.7895 13.7895 9.6375 Å, 90.00 90.00 120.00°
Last column: nearest neighbours and their distance in Å.
Positions (direct):
Rb1 0.0000 0.0000 0.0000  6 O 3.15
Rb2 0.0000 0.0000 0.5000  6 O 3.15
Rb3 0.0000 0.5000 0.4406  8 O 2.94-3.20
Rb4 0.0000 0.5000 0.9406  8 O 2.94-3.20
Rb5 0.5000 0.0000 0.4406  8 O 2.94-3.20
Rb6 0.5000 0.0000 0.9406  8 O 2.94-3.20
Rb7 0.5000 0.5000 0.4406  8 O 2.94-3.20
Rb8 0.5000 0.5000 0.9406  8 O 2.94-3.20
Ti1 0.3333 0.6667 0.4349  6 O 1.96
Ti2 0.3333 0.6667 0.9349  6 O 1.96
Ti3 0.6667 0.3333 0.4349  6 O 1.96
Ti4 0.6667 0.3333 0.9349  6 O 1.96
V1 0.0309 0.2645 0.2324  1 O 1.62
V2 0.0309 0.7663 0.7324  1 O 1.62
V3 0.2337 0.2645 0.7324  1 O 1.62
V4 0.2337 0.9691 0.2324  1 O 1.62
V5 0.2645 0.0309 0.7324  1 O 1.62
V6 0.2645 0.2337 0.2324  1 O 1.62
V7 0.7355 0.7663 0.2324  1 O 1.62
V8 0.7355 0.9691 0.7324  1 O 1.62
V9 0.7663 0.0309 0.2324  1 O 1.62
V10 0.7663 0.7355 0.7324  1 O 1.62
V11 0.9691 0.2337 0.7324  1 O 1.62
V12 0.9691 0.7355 0.2324  1 O 1.62
P1 0.1929 0.4759 0.6842  4 O 1.55-1.56
P2 0.1929 0.7170 0.1842  4 O 1.55-1.56
P3 0.2830 0.4759 0.1842  4 O 1.55-1.56
P4 0.2830 0.8071 0.6842  4 O 1.55-1.56
P5 0.4759 0.1929 0.1842  4 O 1.55-1.56
P6 0.4759 0.2830 0.6842  4 O 1.55-1.56
P7 0.5241 0.7170 0.6842  4 O 1.55-1.56
P8 0.5241 0.8071 0.1842  4 O 1.55-1.56
P9 0.7170 0.1929 0.6842  4 O 1.55-1.56
P10 0.7170 0.5241 0.1842  4 O 1.55-1.56
P11 0.8071 0.2830 0.1842  4 O 1.55-1.56
P12 0.8071 0.5241 0.6842  4 O 1.55-1.56
O1 0.0285 0.2673 0.4007  1 V 1.62
O2 0.0285 0.7613 0.9007  1 V 1.62
O3 0.0639 0.3947 0.6849  1 P 1.56
O4 0.0639 0.6692 0.1849  1 P 1.56
O5 0.0870 0.2150 0.6877  2 V 1.82-1.83
O6 0.0870 0.8720 0.1877  2 V 1.82-1.83
O7 0.1280 0.2150 0.1877  2 V 1.82-1.83
O8 0.1280 0.9130 0.6877  2 V 1.82-1.83
O9 0.1536 0.4149 0.1799  1 P 1.55
O10 0.1536 0.7387 0.6799  1 P 1.55
O11 0.2150 0.0870 0.1877  2 V 1.82-1.83
O12 0.2150 0.1280 0.6877  2 V 1.82-1.83
O13 0.2186 0.5507 0.5543  1 P 1.55
O14 0.2186 0.6679 0.0543  1 P 1.55
O15 0.2207 0.5484 0.8172  1 P 1.55
O16 0.2207 0.6722 0.3172  1 P 1.55
O17 0.2387 0.2673 0.9007  1 V 1.62
O18 0.2387 0.9715 0.4007  1 V 1.62
O19 0.2613 0.4149 0.6799  1 P 1.55
O20 0.2613 0.8464 0.1799  1 P 1.55
O21 0.2673 0.0285 0.9007  1 V 1.62
O22 0.2673 0.2387 0.4007  1 V 1.62
O23 0.3278 0.5484 0.3172  1 P 1.55
O24 0.3278 0.7793 0.8172  1 P 1.55
O25 0.3308 0.3947 0.1849  1 P 1.56
O26 0.3308 0.9361 0.6849  1 P 1.56
O27 0.3321 0.5507 0.0543  1 P 1.55
O28 0.3321 0.7814 0.5543  1 P 1.55
O29 0.3947 0.0639 0.1849  1 P 1.56
O30 0.3947 0.3308 0.6849  1 P 1.56
O31 0.4149 0.1536 0.6799  1 P 1.55
O32 0.4149 0.2613 0.1799  1 P 1.55
O33 0.4493 0.6679 0.5543  1 P 1.55
O34 0.4493 0.7814 0.0543  1 P 1.55
O35 0.4516 0.6722 0.8172  1 P 1.55
O36 0.4516 0.7793 0.3172  1 P 1.55
O37 0.5484 0.2207 0.3172  1 P 1.55
O38 0.5484 0.3278 0.8172  1 P 1.55
O39 0.5507 0.2186 0.0543  1 P 1.55
O40 0.5507 0.3321 0.5543  1 P 1.55
O41 0.5851 0.7387 0.1799  1 P 1.55
O42 0.5851 0.8464 0.6799  1 P 1.55
O43 0.6053 0.6692 0.6849  1 P 1.56
O44 0.6053 0.9361 0.1849  1 P 1.56
O45 0.6679 0.2186 0.5543  1 P 1.55
O46 0.6679 0.4493 0.0543  1 P 1.55
O47 0.6692 0.0639 0.6849  1 P 1.56
O48 0.6692 0.6053 0.1849  1 P 1.56
O49 0.6722 0.2207 0.8172  1 P 1.55
O50 0.6722 0.4516 0.3172  1 P 1.55
O51 0.7327 0.7613 0.4007  1 V 1.62
O52 0.7327 0.9715 0.9007  1 V 1.62
O53 0.7387 0.1536 0.1799  1 P 1.55
O54 0.7387 0.5851 0.6799  1 P 1.55
O55 0.7613 0.0285 0.4007  1 V 1.62
O56 0.7613 0.7327 0.9007  1 V 1.62
O57 0.7793 0.3278 0.3172  1 P 1.55
O58 0.7793 0.4516 0.8172  1 P 1.55
O59 0.7814 0.3321 0.0543  1 P 1.55
O60 0.7814 0.4493 0.5543  1 P 1.55
O61 0.7850 0.8720 0.6877  2 V 1.82-1.83
O62 0.7850 0.9130 0.1877  2 V 1.82-1.83
O63 0.8464 0.2613 0.6799  1 P 1.55
O64 0.8464 0.5851 0.1799  1 P 1.55
O65 0.8720 0.0870 0.6877  2 V 1.82-1.83
O66 0.8720 0.7850 0.1877  2 V 1.82-1.83
O67 0.9130 0.1280 0.1877  2 V 1.82-1.83
O68 0.9130 0.7850 0.6877  2 V 1.82-1.83
O69 0.9361 0.3308 0.1849  1 P 1.56
O70 0.9361 0.6053 0.6849  1 P 1.56
O71 0.9715 0.2387 0.9007  1 V 1.62
O72 0.9715 0.7327 0.4007  1 V 1.62

No. 4
A plane-wave DFT calculation with PBE with a Hubbard U was carried out for a geometry-optimized SrCaP2WO8 structure.

Formation energy   -2.768 eV/atom
Space-group type   No. 2
ρ   4.647 g/cm3
Crystal system   triclinic

Cell: 6.1267 6.7338 9.6338 Å, 107.29 106.25 94.67°
Last column: nearest neighbours and their distance in Å.
Positions (direct):
Sr1 0.1843 0.1998 0.4257  6 O 2.48-2.76
Sr2 0.8157 0.8002 0.5743  6 O 2.48-2.76
Ca1 0.4795 0.5793 0.8233  6 O 2.40-2.53
Ca2 0.5205 0.4207 0.1767  6 O 2.40-2.53
P1 0.1261 0.6044 0.2813  4 O 1.54-1.58
P2 0.3657 0.0172 0.7756  4 O 1.52-1.59
P3 0.6343 0.9828 0.2244  4 O 1.52-1.59
P4 0.8739 0.3956 0.7187  4 O 1.54-1.58
W1 0.1435 0.8483 0.0303  4 O 2.15-2.21
W2 0.8565 0.1517 0.9697  4 O 2.15-2.21
O1 0.0716 0.4409 0.6560  1 P 1.54
O2 0.1088 0.8103 0.2404  1 P 1.55
O3 0.1096 0.4206 0.1296  1 P 1.58
O4 0.2104 0.8760 0.8258  1 P 1.56
O5 0.2403 0.0081 0.6134  1 P 1.52
O6 0.3711 0.6063 0.3877  1 P 1.56
O7 0.4150 0.0958 0.2168  1 P 1.59
O8 0.4559 0.2494 0.8935  1 P 1.58
O9 0.5441 0.7506 0.1065  1 P 1.58
O10 0.5850 0.9042 0.7832  1 P 1.59
O11 0.6289 0.3937 0.6123  1 P 1.56
O12 0.7597 0.9919 0.3866  1 P 1.52
O13 0.7896 0.1240 0.1742  1 P 1.56
O14 0.8904 0.5794 0.8704  1 P 1.58
O15 0.8912 0.1897 0.7596  1 P 1.55
O16 0.9284 0.5591 0.3440  1 P 1.54

No. 5
A plane-wave DFT calculation with PBE with a Hubbard U was carried out for a geometry-optimized Li9Mn2Co5O16 structure.

Formation energy   -1.829 eV/atom
Space-group type   No. 2
ρ   4.210 g/cm3
Energy relative to the lowest polymorph listed for this composition   36 meV/atom
Crystal system   triclinic

Cell: 5.1015 5.8729 10.0700 Å, 105.51 100.72 90.37°
Last column: nearest neighbours and their distance in Å.
Positions (direct):
Li1 0.0000 0.0000 0.0000  6 O 2.12-2.25
Li2 0.0000 0.0000 0.5000  6 O 2.07-2.11
Li3 0.0000 0.5000 0.0000  6 O 2.08-2.19
Li4 0.2453 0.3754 0.2517  6 O 2.02-2.18
Li5 0.2518 0.8808 0.2542  6 O 2.01-2.22
Li6 0.4923 0.2419 0.4987  6 O 2.04-2.24
Li7 0.5077 0.7581 0.5013  6 O 2.04-2.24
Li8 0.7482 0.1192 0.7458  6 O 2.01-2.22
Li9 0.7547 0.6246 0.7483  6 O 2.02-2.18
Mn1 0.2472 0.3715 0.7449  6 O 1.92-1.99
Mn2 0.7528 0.6285 0.2551  6 O 1.92-1.99
Co1 0.0000 0.5000 0.5000  4 O 1.90-1.98
Co2 0.2278 0.8754 0.7388  2 O 1.82-2.01
Co3 0.5003 0.2476 0.0024  6 O 1.93-2.08
Co4 0.4997 0.7524 0.9976  6 O 1.93-2.08
Co5 0.7722 0.1246 0.2612  2 O 1.82-2.01
O1 0.0947 0.6701 0.3784  1 Co 1.90, 1 Mn 1.92, 2 Li 2.10-2.11
O2 0.1088 0.1813 0.3660  1 Co 1.82, 1 Li 2.02
O3 0.1400 0.1955 0.8664  1 Mn 1.94, 2 Co 2.04-2.08, 2 Li 2.11-2.15
O4 0.1431 0.6685 0.8685  1 Mn 1.99, 2 Co 2.00-2.10, 2 Li 2.08-2.10
O5 0.3545 0.5571 0.6273  1 Mn 1.95, 2 Co 1.98-2.08, 3 Li 2.15-2.19
O6 0.3701 0.0843 0.6366  1 Mn 1.93, 1 Co 2.01, 3 Li 2.01-2.09
O7 0.3951 0.0669 0.1198  3 Co 1.93-2.14, 1 Li 2.12
O8 0.4050 0.5678 0.1264  1 Mn 1.96, 2 Co 2.02-2.08, 3 Li 2.16-2.19
O9 0.5950 0.4322 0.8736  1 Mn 1.96, 2 Co 2.02-2.08, 3 Li 2.16-2.19
O10 0.6049 0.9331 0.8802  3 Co 1.93-2.14, 1 Li 2.12
O11 0.6299 0.9157 0.3634  1 Mn 1.93, 1 Co 2.01, 3 Li 2.01-2.09
O12 0.6455 0.4429 0.3727  1 Mn 1.95, 2 Co 1.98-2.08, 3 Li 2.15-2.19
O13 0.8569 0.3315 0.1315  1 Mn 1.99, 2 Co 2.00-2.10, 2 Li 2.08-2.10
O14 0.8600 0.8045 0.1336  1 Mn 1.94, 2 Co 2.04-2.08, 2 Li 2.11-2.15
O15 0.8912 0.8187 0.6340  1 Co 1.82, 1 Li 2.02
O16 0.9053 0.3299 0.6216  1 Co 1.90, 1 Mn 1.92, 2 Li 2.10-2.11

No. 6
A plane-wave DFT calculation with PBE with a Hubbard U was carried out for a geometry-optimized Mn12O7F17 structure.

Formation energy   -2.561 eV/atom
Space-group type   No. 1
ρ   4.164 g/cm3
Energy relative to the lowest polymorph listed for this composition   16 meV/atom
Crystal system   triclinic

Cell: 5.2733 5.7285 14.4959 Å, 85.37 88.92 89.14°
Last column: nearest neighbours and their distance in Å.
Positions (direct):
Mn1 0.0000 0.0000 0.0000  2 O 1.92-1.93, 3 F 2.02-2.11
Mn2 0.0054 0.5588 0.1808  2 O 1.96-2.05, 2 F 2.11
Mn3 0.0116 0.4866 0.8333  2 O 1.95, 3 F 2.01-2.15
Mn4 0.0173 0.9539 0.3405  2 O 1.93, 4 F 2.04-2.13
Mn5 0.0265 0.9775 0.6653  2 O 1.96-1.99, 4 F 2.05-2.13
Mn6 0.0360 0.4732 0.4947  3 O 1.93-1.98, 1 F 1.99
Mn7 0.4820 0.1509 0.1682  6 F 2.06-2.25
Mn8 0.4873 0.1482 0.8372  5 F 2.03-2.23, 1 O 2.08
Mn9 0.4951 0.1795 0.5014  2 O 1.92-1.95, 3 F 2.00-2.09
Mn10 0.5184 0.6623 0.3398  3 O 1.95-2.05, 3 F 2.07-2.15
Mn11 0.5383 0.6416 0.0089  5 F 2.07-2.27, 1 O 2.08
Mn12 0.5510 0.6550 0.6698  1 O 2.04, 5 F 2.06-2.19
O1 0.1511 0.2195 0.9080  3 Mn 1.93-2.08
O2 0.1868 0.2153 0.5757  3 Mn 1.95-1.99
O3 0.2120 0.7540 0.2644  3 Mn 1.93-2.05
O4 0.3468 0.4332 0.4255  3 Mn 1.92-1.95
O5 0.8492 0.7524 0.0792  3 Mn 1.92-2.08
O6 0.8573 0.6858 0.4051  3 Mn 1.93-2.05
O7 0.8727 0.7146 0.7401  3 Mn 1.95-2.04
F1 0.1391 0.2313 0.2552  3 Mn 2.04-2.25
F2 0.1988 0.7146 0.9202  3 Mn 2.15-2.31
F3 0.2120 0.7195 0.5894  3 Mn 2.13-2.27
F4 0.2968 0.4375 0.0944  3 Mn 2.07-2.12
F5 0.3262 0.4333 0.7542  3 Mn 2.03-2.13
F6 0.3264 0.9434 0.0691  2 Mn 2.02-2.12
F7 0.3517 0.9314 0.7398  3 Mn 2.05-2.19
F8 0.3574 0.9367 0.4160  3 Mn 2.08-2.15
F9 0.6542 0.4425 0.2376  3 Mn 2.11-2.23
F10 0.6745 0.4448 0.8988  3 Mn 2.01-2.23
F11 0.6920 0.9272 0.2567  3 Mn 2.06-2.13
F12 0.6933 0.9564 0.5869  3 Mn 2.00-2.16
F13 0.6996 0.9263 0.9219  3 Mn 2.03-2.16
F14 0.7173 0.4459 0.5698  2 Mn 1.99-2.12
F15 0.7896 0.2415 0.0742  2 Mn 2.11-2.14
F16 0.8270 0.1780 0.4209  2 Mn 2.04-2.09
F17 0.8298 0.2097 0.7499  3 Mn 2.13-2.30

Which of these has the highest ρ?
EuFeGe2O7